1.
A geometry-optimized SiNi2O4 structure, computed with PBE+U.

Geometry as extended XYZ:
```
14
Lattice="0.000 4.057 4.057 4.057 0.000 4.057 4.057 4.057 0.000" Properties=species:S:1:pos:R:3 pbc="T T T"
Si 1.014 1.014 1.014
Si 7.101 7.101 7.101
Ni 4.057 2.029 2.029
Ni 2.029 4.057 2.029
Ni 2.029 2.029 4.057
Ni 4.057 4.057 4.057
O 6.136 4.008 4.008
O 1.979 1.979 1.979
O 4.107 4.107 1.979
O 4.107 1.979 4.107
O 4.008 6.136 4.008
O 4.008 4.008 6.136
O 6.136 6.136 6.136
O 1.979 4.107 4.107
```

## Properties
Symmetry: Fd-3m (227)
Calculated formation energy: -2.0873 eV/atom
Total magnetic moment: 8.00 Bohr magnetons per cell

=====

2.
A geometry-optimized Li2Mn3O6 structure, computed with PBE+U.

Geometry as extended XYZ:
```
22
Lattice="0.000 -2.882 0.000 0.548 0.000 -10.331 7.240 1.441 -1.023" Properties=species:S:1:pos:R:3 pbc="T T T"
O 6.286 -1.441 -7.698
Mn 5.508 0.000 -8.723
Li 2.893 0.001 -5.165
O 3.630 0.000 -7.009
Li 4.895 -1.440 -6.189
O 4.433 -1.441 -9.510
Mn 2.555 -1.441 -7.796
Mn 2.281 -1.441 -2.631
O 6.012 -1.441 -2.533
O 1.503 0.000 -3.655
Mn 0.001 0.000 0.000
Li 4.621 -1.440 -1.023
O 6.725 0.000 -10.590
O 1.337 -1.441 -5.929
O 1.777 0.000 -8.821
O 1.063 -1.441 -0.763
Li 3.167 0.001 -10.331
O 6.450 0.000 -5.425
O 3.356 0.000 -1.844
O 4.159 -1.441 -4.344
Mn 5.234 0.000 -3.558
Mn 0.275 0.000 -5.166
```

## Properties
Calculated formation energy: -2.0609 eV/atom
Total magnetic moment: 0.00 Bohr magnetons per cell

=====

3.
A geometry-optimized Co3TeO6 structure, computed with PBE+U.

Geometry as extended XYZ:
```
60
Lattice="7.461 -4.467 0.000 7.461 4.467 0.000 -0.944 0.000 10.449" Properties=species:S:1:pos:R:3 pbc="T T T"
Co 5.158 3.167 2.412
Co 2.639 1.247 4.467
Co 4.119 1.823 9.905
Co 6.753 2.800 7.837
Co 9.292 3.167 2.812
Co 6.679 1.389 4.826
Co 2.167 -1.247 9.692
Co 7.770 1.389 0.398
Co 9.387 1.823 5.769
Co 4.591 -1.823 4.680
Co 6.207 -1.389 10.051
Co 11.811 1.247 0.757
Co 7.298 -1.389 5.623
Co 4.686 -3.167 7.637
Co 7.225 -2.800 2.612
Co 9.859 -1.823 0.544
Co 11.339 -1.247 5.982
Co 8.820 -3.167 8.037
Te 0.000 0.000 0.000
Te -0.472 0.000 5.224
Te 4.384 0.005 7.321
Te 4.856 -0.005 2.096
Te 9.122 0.005 8.353
Te 9.594 -0.005 3.128
O 0.895 0.129 1.715
O 0.423 -0.129 6.940
O 6.311 3.023 0.692
O 5.842 2.989 5.875
O 3.304 1.348 6.344
O 3.971 1.463 1.158
O 2.952 0.232 8.701
O 8.139 3.023 4.532
O 7.663 2.989 9.798
O 5.646 1.414 3.177
O 5.313 1.396 8.351
O 3.424 -0.232 3.477
O 6.184 0.115 0.631
O 3.776 -1.348 1.120
O 5.712 -0.115 5.856
O 3.499 -1.463 6.382
O 8.193 1.396 7.322
O 8.804 1.414 2.047
O 5.174 -1.414 8.402
O 5.785 -1.396 3.127
O 10.479 1.463 4.067
O 8.266 0.115 4.593
O 10.202 1.348 9.329
O 7.794 -0.115 9.817
O 10.554 0.232 6.972
O 8.665 -1.396 2.098
O 8.332 -1.414 7.272
O 6.314 -2.989 0.651
O 5.839 -3.023 5.916
O 11.026 -0.232 1.748
O 10.007 -1.463 9.291
O 10.674 -1.348 4.105
O 8.135 -2.989 4.574
O 7.667 -3.023 9.757
O 13.555 0.129 3.509
O 13.083 -0.129 8.733
```

## Properties
Symmetry: C2/c (15)
Calculated formation energy: -1.4252 eV/atom